A) The following is a GGA+U calculation of a geometry-optimized Li7Co5O12 structure, from Materials Project. Values from VASP.

The structure in Quantum ESPRESSO input format:
```
&SYSTEM
  ibrav = 0, nat = 24, ntyp = 3
/
ATOMIC_SPECIES
O 16.00 O.upf
Li 6.94 Li.upf
Co 58.93 Co.upf
ATOMIC_POSITIONS crystal
O 0.660 0.892 0.972
O 0.731 0.109 0.339
O 0.786 0.381 0.674
O 0.542 0.619 0.671
O 0.936 0.891 0.328
O 0.202 0.619 0.333
O 0.363 0.109 0.973
O 0.464 0.381 0.333
O 0.880 0.619 0.993
O 0.125 0.381 0.995
O 0.304 0.891 0.694
O 0.006 0.108 0.695
Li 0.084 0.246 0.335
Li 0.333 0.000 0.333
Li 0.413 0.245 0.665
Li 0.254 0.755 0.002
Li 0.583 0.754 0.331
Li 0.747 0.244 0.001
Li 0.920 0.756 0.666
Co 0.003 0.000 0.003
Co 0.664 0.000 0.664
Co 0.165 0.500 0.670
Co 0.833 0.500 0.333
Co 0.502 0.500 0.996
CELL_PARAMETERS angstrom
-1.775 -1.093 4.556
-2.981 -7.940 -4.923
2.816 -2.548 3.217
```

Computed properties:
Calculated volume (Å³/cell): 209

B) The following is a GGA+U calculation of a geometry-optimized Li7Co5O12 structure, from Materials Project. Values from VASP.

The structure in Quantum ESPRESSO input format:
```
&SYSTEM
  ibrav = 0, nat = 24, ntyp = 3
/
ATOMIC_SPECIES
Co 58.93 Co.upf
O 16.00 O.upf
Li 6.94 Li.upf
ATOMIC_POSITIONS crystal
Co 0.000 0.000 0.500
Co 0.007 0.661 0.838
Co 0.993 0.339 0.162
Co 0.500 0.174 0.323
Co 0.500 0.826 0.677
O 0.654 0.519 0.208
O 0.632 0.194 0.533
O 0.121 0.008 0.718
O 0.103 0.683 0.034
O 0.645 0.864 0.863
O 0.897 0.317 0.966
O 0.881 0.633 0.639
O 0.368 0.806 0.467
O 0.879 0.992 0.282
O 0.346 0.481 0.792
O 0.355 0.136 0.137
O 0.119 0.367 0.361
Li 0.753 0.249 0.753
Li 0.256 0.089 0.919
Li 0.500 0.500 0.000
Li 0.251 0.419 0.584
Li 0.749 0.581 0.416
Li 0.247 0.751 0.247
Li 0.744 0.911 0.081
CELL_PARAMETERS angstrom
5.028 0.000 0.000
0.896 5.034 0.000
0.724 2.401 8.301
```

Computed properties:
Calculated volume (Å³/cell): 210

Relative energy of each structure, in eV/atom: A) 0.045; B) 0.000.

A) The following is a GGA+U calculation of a geometry-optimized LiCoPO4 structure, from Materials Project. Values from VASP.

The structure in Quantum ESPRESSO input format:
```
&SYSTEM
  ibrav = 0, nat = 56, ntyp = 4
/
ATOMIC_SPECIES
P 30.97 P.upf
O 16.00 O.upf
Co 58.93 Co.upf
Li 6.94 Li.upf
ATOMIC_POSITIONS crystal
P 0.750 0.799 0.819
P 0.729 0.235 0.429
P 0.729 0.735 0.071
P 0.229 0.265 0.929
P 0.250 0.701 0.319
P 0.250 0.201 0.181
P 0.229 0.765 0.571
P 0.750 0.299 0.681
O 0.619 0.450 0.641
O 0.170 0.107 0.969
O 0.111 0.213 0.255
O 0.677 0.140 0.639
O 0.036 0.710 0.079
O 0.544 0.172 0.189
O 0.119 0.050 0.141
O 0.611 0.787 0.745
O 0.103 0.767 0.647
O 0.177 0.860 0.361
O 0.044 0.328 0.689
O 0.611 0.287 0.755
O 0.536 0.790 0.579
O 0.536 0.290 0.921
O 0.177 0.360 0.139
O 0.670 0.893 0.031
O 0.103 0.267 0.853
O 0.677 0.640 0.861
O 0.111 0.713 0.245
O 0.612 0.079 0.469
O 0.603 0.733 0.147
O 0.619 0.950 0.859
O 0.544 0.672 0.311
O 0.670 0.393 0.469
O 0.119 0.550 0.359
O 0.044 0.828 0.811
O 0.036 0.210 0.421
O 0.603 0.233 0.353
O 0.112 0.921 0.531
O 0.170 0.607 0.531
O 0.112 0.421 0.969
O 0.612 0.579 0.031
Co 0.742 0.671 0.661
Co 0.252 0.501 0.063
Co 0.752 0.999 0.563
Co 0.742 0.171 0.839
Co 0.252 0.001 0.437
Co 0.242 0.329 0.339
Co 0.242 0.829 0.161
Co 0.752 0.499 0.937
Li 0.937 0.066 0.050
Li 0.259 0.362 0.766
Li 0.259 0.862 0.734
Li 0.759 0.138 0.266
Li 0.437 0.934 0.950
Li 0.437 0.434 0.550
Li 0.937 0.566 0.450
Li 0.759 0.638 0.234
CELL_PARAMETERS angstrom
-0.089 -4.987 0.889
5.843 -1.077 -5.460
12.956 2.165 13.438
```

Computed properties:
Calculated volume (Å³/cell): 768

B) The following is a GGA+U calculation of a geometry-optimized LiCoPO4 structure, from Materials Project. Values from VASP.

The structure in Quantum ESPRESSO input format:
```
&SYSTEM
  ibrav = 0, nat = 14, ntyp = 4
/
ATOMIC_SPECIES
Co 58.93 Co.upf
P 30.97 P.upf
O 16.00 O.upf
Li 6.94 Li.upf
ATOMIC_POSITIONS crystal
Co 0.630 0.333 0.818
Co 0.297 0.667 0.318
P 0.640 0.348 0.194
P 0.292 0.652 0.694
O 0.305 0.434 0.809
O 0.967 0.595 0.683
O 0.394 0.603 0.532
O 0.500 0.954 0.747
O 0.791 0.397 0.032
O 0.372 0.405 0.183
O 0.871 0.566 0.309
O 0.546 0.046 0.247
Li 0.781 0.650 0.508
Li 0.131 0.350 0.008
CELL_PARAMETERS angstrom
5.164 0.000 -0.040
-2.582 4.710 0.020
0.066 0.000 8.655
```

Computed properties:
Calculated volume (Å³/cell): 211

Relative energy of each structure, in eV/atom: A) 0.013; B) 0.000.

A) The following is a GGA+U calculation of a geometry-optimized LiCoPO4 structure, from Materials Project. Values from VASP.

The structure in Quantum ESPRESSO input format:
```
&SYSTEM
  ibrav = 0, nat = 28, ntyp = 4
/
ATOMIC_SPECIES
O 16.00 O.upf
Co 58.93 Co.upf
Li 6.94 Li.upf
P 30.97 P.upf
ATOMIC_POSITIONS crystal
O 0.728 0.250 0.966
O 0.500 0.047 0.745
O 0.000 0.547 0.755
O 0.772 0.750 0.534
O 0.272 0.250 0.966
O 0.228 0.250 0.466
O 0.500 0.953 0.255
O 0.500 0.453 0.745
O 0.000 0.453 0.245
O 0.272 0.750 0.034
O 0.728 0.750 0.034
O 0.500 0.547 0.255
O 0.000 0.047 0.245
O 0.228 0.750 0.534
O 0.000 0.953 0.755
O 0.772 0.250 0.466
Co 0.500 0.500 0.500
Co 0.000 0.500 0.000
Co 0.000 0.000 0.000
Co 0.500 0.000 0.500
Li 0.000 0.750 0.330
Li 0.500 0.250 0.170
Li 0.000 0.250 0.670
Li 0.500 0.750 0.830
P 0.500 0.750 0.150
P 0.000 0.250 0.350
P 0.500 0.250 0.850
P 0.000 0.750 0.650
CELL_PARAMETERS angstrom
-3.056 4.569 0.000
0.000 0.000 6.256
6.849 4.581 0.000
```

Computed properties:
Calculated volume (Å³/cell): 283

B) The following is a GGA+U calculation of a geometry-optimized LiCoPO4 structure, from Materials Project. Values from VASP.

The structure in Quantum ESPRESSO input format:
```
&SYSTEM
  ibrav = 0, nat = 84, ntyp = 4
/
ATOMIC_SPECIES
Li 6.94 Li.upf
O 16.00 O.upf
P 30.97 P.upf
Co 58.93 Co.upf
ATOMIC_POSITIONS crystal
Li 0.732 0.463 0.424
Li 0.739 0.859 0.093
Li 0.268 0.537 0.576
Li 0.261 0.141 0.907
Li 0.239 0.141 0.407
Li 0.269 0.823 0.770
Li 0.731 0.177 0.230
Li 0.231 0.823 0.270
Li 0.761 0.859 0.593
Li 0.769 0.177 0.730
Li 0.768 0.463 0.924
Li 0.232 0.537 0.076
O 0.734 0.265 0.319
O 0.140 0.674 0.878
O 0.862 0.247 0.460
O 0.775 0.634 0.794
O 0.195 0.413 0.509
O 0.814 0.980 0.967
O 0.261 0.405 0.864
O 0.686 0.980 0.467
O 0.001 0.241 0.674
O 0.314 0.020 0.533
O 0.360 0.674 0.378
O 0.793 0.918 0.808
O 0.695 0.587 0.991
O 0.998 0.640 0.036
O 0.859 0.930 0.171
O 0.186 0.020 0.033
O 0.266 0.735 0.681
O 0.490 0.941 0.106
O 0.010 0.941 0.606
O 0.002 0.360 0.964
O 0.239 0.405 0.364
O 0.225 0.366 0.206
O 0.362 0.753 0.040
O 0.305 0.413 0.009
O 0.359 0.070 0.329
O 0.502 0.640 0.536
O 0.805 0.587 0.491
O 0.640 0.326 0.622
O 0.707 0.918 0.308
O 0.860 0.326 0.122
O 0.498 0.360 0.464
O 0.234 0.735 0.181
O 0.501 0.759 0.826
O 0.510 0.059 0.894
O 0.499 0.241 0.174
O 0.739 0.595 0.136
O 0.293 0.082 0.692
O 0.207 0.082 0.192
O 0.138 0.753 0.540
O 0.141 0.070 0.829
O 0.990 0.059 0.394
O 0.725 0.634 0.294
O 0.761 0.595 0.636
O 0.638 0.247 0.960
O 0.999 0.759 0.326
O 0.641 0.930 0.671
O 0.275 0.366 0.706
O 0.766 0.265 0.819
P 0.680 0.814 0.772
P 0.180 0.186 0.728
P 0.677 0.531 0.572
P 0.816 0.137 0.412
P 0.684 0.137 0.912
P 0.320 0.186 0.228
P 0.323 0.469 0.428
P 0.820 0.814 0.272
P 0.316 0.863 0.088
P 0.177 0.469 0.928
P 0.184 0.863 0.588
P 0.823 0.531 0.072
Co 0.482 0.208 0.065
Co 0.518 0.792 0.935
Co 0.023 0.147 0.091
Co 0.523 0.853 0.409
Co 0.386 0.510 0.753
Co 0.614 0.490 0.247
Co 0.018 0.208 0.565
Co 0.477 0.147 0.591
Co 0.114 0.510 0.253
Co 0.977 0.853 0.909
Co 0.886 0.490 0.747
Co 0.982 0.792 0.435
CELL_PARAMETERS angstrom
-6.295 1.959 3.652
2.784 -3.967 6.927
9.313 8.805 11.330
```

Computed properties:
Calculated volume (Å³/cell): 956

Relative energy of each structure, in eV/atom: A) 0.000; B) 0.061.

A) The following is a GGA+U calculation of a geometry-optimized LiNiP4O12 structure, from Materials Project. Values from VASP.

The structure in Quantum ESPRESSO input format:
```
&SYSTEM
  ibrav = 0, nat = 36, ntyp = 4
/
ATOMIC_SPECIES
O 16.00 O.upf
P 30.97 P.upf
Li 6.94 Li.upf
Ni 58.69 Ni.upf
ATOMIC_POSITIONS crystal
O 0.470 0.224 0.730
O 0.615 0.522 0.555
O 0.749 0.022 0.501
O 0.172 0.600 0.713
O 0.835 0.029 0.718
O 0.522 0.615 0.055
O 0.776 0.530 0.770
O 0.841 0.661 0.321
O 0.978 0.251 0.999
O 0.022 0.749 0.001
O 0.339 0.159 0.179
O 0.400 0.828 0.787
O 0.661 0.841 0.821
O 0.971 0.165 0.782
O 0.224 0.470 0.230
O 0.165 0.971 0.282
O 0.251 0.978 0.499
O 0.159 0.339 0.679
O 0.530 0.776 0.270
O 0.029 0.835 0.218
O 0.385 0.478 0.445
O 0.828 0.400 0.287
O 0.600 0.172 0.213
O 0.478 0.385 0.945
P 0.026 0.696 0.176
P 0.294 0.426 0.636
P 0.706 0.574 0.364
P 0.974 0.304 0.824
P 0.574 0.706 0.864
P 0.426 0.294 0.136
P 0.696 0.026 0.676
P 0.304 0.974 0.324
Li 0.298 0.702 0.250
Li 0.702 0.298 0.750
Ni 0.123 0.877 0.750
Ni 0.877 0.123 0.250
CELL_PARAMETERS angstrom
1.412 -8.425 -2.544
5.917 -3.495 -5.676
7.567 -4.985 3.039
```

Computed properties:
Calculated volume (Å³/cell): 466

B) The following is a GGA+U calculation of a geometry-optimized LiNiP4O12 structure, from Materials Project. Values from VASP.

The structure in Quantum ESPRESSO input format:
```
&SYSTEM
  ibrav = 0, nat = 36, ntyp = 4
/
ATOMIC_SPECIES
O 16.00 O.upf
P 30.97 P.upf
Li 6.94 Li.upf
Ni 58.69 Ni.upf
ATOMIC_POSITIONS crystal
O 0.847 0.094 0.904
O 0.660 0.808 0.649
O 0.224 0.501 0.565
O 0.466 0.682 0.341
O 0.340 0.192 0.351
O 0.094 0.847 0.404
O 0.906 0.153 0.596
O 0.501 0.224 0.065
O 0.878 0.702 0.827
O 0.192 0.340 0.851
O 0.298 0.122 0.673
O 0.153 0.906 0.096
O 0.808 0.660 0.149
O 0.807 0.300 0.078
O 0.682 0.466 0.841
O 0.776 0.499 0.435
O 0.534 0.318 0.659
O 0.300 0.807 0.578
O 0.193 0.700 0.922
O 0.702 0.878 0.327
O 0.499 0.776 0.935
O 0.318 0.534 0.159
O 0.122 0.298 0.173
O 0.700 0.193 0.422
P 0.697 0.690 0.303
P 0.310 0.303 0.197
P 0.726 0.261 0.975
P 0.690 0.697 0.803
P 0.303 0.310 0.697
P 0.274 0.739 0.025
P 0.739 0.274 0.525
P 0.261 0.726 0.475
Li 0.944 0.056 0.250
Li 0.056 0.944 0.750
Ni 0.000 0.500 0.000
Ni 0.500 0.000 0.500
CELL_PARAMETERS angstrom
4.219 6.033 0.000
-4.219 6.033 0.000
0.000 4.679 8.716
```

Computed properties:
Calculated volume (Å³/cell): 444

Relative energy of each structure, in eV/atom: A) 0.038; B) 0.000.